1.
Material: Cs3Mo5P7O24
Method: DFT, GGA+U
State: relaxed

POSCAR file:
```
Cs3Mo5P7O24
1.0
6.2703 -10.8605 0.0000
6.2703 10.8605 0.0000
0.0000 0.0000 9.6015
Cs Mo P O
6 10 14 48
Direct
0.6059 0.6873 0.5259
0.3127 0.9185 0.5259
0.3941 0.0815 0.0259
0.6873 0.6059 0.0259
0.9185 0.3127 0.0259
0.0815 0.3941 0.5259
0.1938 0.6776 0.1214
0.6776 0.1938 0.6214
0.0000 0.0000 0.9733
0.5163 0.3224 0.6214
0.0000 0.0000 0.4733
0.4837 0.8062 0.1214
0.6667 0.3333 0.3491
0.8062 0.4837 0.6214
0.3333 0.6667 0.8491
0.3224 0.5163 0.1214
0.1491 0.2306 0.2270
0.6528 0.0683 0.2964
0.4155 0.3472 0.2964
0.5845 0.9317 0.7964
0.3333 0.6667 0.2996
0.6667 0.3333 0.7996
0.3472 0.4155 0.7964
0.7694 0.9185 0.2270
0.9317 0.5845 0.2964
0.2306 0.1491 0.7270
0.8509 0.0815 0.7270
0.9185 0.7694 0.7270
0.0815 0.8509 0.2270
0.0683 0.6528 0.7964
0.3427 0.4080 0.9560
0.0445 0.7603 0.7363
0.5278 0.9663 0.2386
0.0736 0.9090 0.0927
0.1902 0.8257 0.2226
0.8355 0.9264 0.0927
0.0910 0.1645 0.0927
0.4908 0.8067 0.7339
0.8257 0.1902 0.7226
0.4587 0.6649 0.0005
0.5615 0.0337 0.7386
0.1645 0.0910 0.5927
0.1743 0.3645 0.2226
0.1933 0.6841 0.7339
0.4385 0.4722 0.2386
0.8067 0.4908 0.2339
0.7938 0.3351 0.5005
0.5092 0.3159 0.2339
0.1692 0.0760 0.8578
0.9090 0.0736 0.5927
0.6841 0.1933 0.2339
0.5920 0.9346 0.9560
0.3645 0.1743 0.7226
0.9555 0.7157 0.2363
0.9663 0.5278 0.7386
0.3351 0.7938 0.0005
0.7603 0.0445 0.2363
0.0337 0.5615 0.2386
0.6649 0.4587 0.5005
0.9264 0.8355 0.5927
0.9346 0.5920 0.4560
0.8308 0.9068 0.3578
0.2397 0.2843 0.7363
0.6573 0.0654 0.4560
0.9240 0.0932 0.8578
0.9068 0.8308 0.8578
0.8098 0.6355 0.7226
0.6355 0.8098 0.2226
0.3159 0.5092 0.7339
0.4722 0.4385 0.7386
0.0760 0.1692 0.3578
0.0932 0.9240 0.3578
0.0654 0.6573 0.9560
0.2062 0.5413 0.0005
0.5413 0.2062 0.5005
0.2843 0.2397 0.2363
0.4080 0.3427 0.4560
0.7157 0.9555 0.7363
```

Results
E   -546.0 eV per cell
V   653.85 Å³/f.u.
SG   P31c, No. 159
Magnetization   0.15 μB/atom


2.
Material: Li9Mn7O16
Method: DFT, GGA+U
State: relaxed

POSCAR file:
```
Li9Mn7O16
1.0
3.0077 0.0000 0.0000
-0.3522 10.1627 0.0000
-0.6197 -3.0249 9.7026
Li Mn O
9 7 16
Direct
0.0061 0.7456 0.4975
0.5112 0.2417 0.2408
0.0103 0.7581 0.9920
0.4970 0.7521 0.2514
0.9897 0.2419 0.0080
0.4888 0.7583 0.7592
0.5030 0.2479 0.7486
0.9939 0.2544 0.5025
0.5000 0.0000 0.0000
0.9971 0.9985 0.7582
0.0029 0.0015 0.2418
0.5000 0.5000 0.5000
0.5000 0.5000 0.0000
0.0012 0.4997 0.2500
0.9988 0.5003 0.7500
0.5000 0.0000 0.5000
0.4684 0.8941 0.6370
0.0343 0.3841 0.3734
0.4735 0.8925 0.1436
0.0290 0.8865 0.3770
0.5339 0.3815 0.1216
0.0068 0.8816 0.8637
0.0358 0.3828 0.8718
0.5330 0.3806 0.6213
0.4670 0.6194 0.3787
0.9932 0.1184 0.1363
0.4661 0.6185 0.8784
0.9642 0.6172 0.1282
0.5265 0.1075 0.8564
0.9657 0.6159 0.6266
0.9710 0.1135 0.6230
0.5316 0.1059 0.3630
```

Results
E   -205.8 eV per cell
V   296.58 Å³/f.u.
SG   P-1, No. 2
Magnetization   0.81 μB/atom


3.
Material: Li9Mn7O16
Method: DFT, GGA+U
State: relaxed

POSCAR file:
```
Li9Mn7O16
1.0
-4.6199 2.0267 0.2160
-2.1452 -4.4664 3.4863
0.5966 5.3657 8.3382
Li Mn O
9 7 16
Direct
0.2548 0.7458 0.2467
0.2532 0.0023 0.7533
0.2564 0.2565 0.2445
0.7468 0.9977 0.2467
0.7452 0.2542 0.7533
0.7471 0.5039 0.2480
0.2529 0.4961 0.7520
0.7436 0.7435 0.7555
0.5000 0.5000 0.0000
0.9997 0.7414 0.9994
0.0003 0.2586 0.0006
0.0000 0.0000 0.5000
0.0000 0.5000 0.5000
0.5002 0.2495 0.4995
0.4998 0.7505 0.5005
0.5000 0.0000 0.0000
0.1039 0.5001 0.1155
0.1394 0.7661 0.6171
0.1373 0.0064 0.1112
0.6361 0.7644 0.1132
0.6388 0.0164 0.6168
0.6313 0.2234 0.1053
0.1383 0.2665 0.6163
0.6374 0.5163 0.6188
0.3612 0.9836 0.3832
0.3639 0.2356 0.8868
0.3626 0.4837 0.3812
0.8606 0.2339 0.3829
0.8961 0.4999 0.8845
0.8617 0.7335 0.3837
0.3687 0.7766 0.8947
0.8627 0.9936 0.8888
```

Results
E   -206.1 eV per cell
V   297.03 Å³/f.u.
SG   P-1, No. 2
Magnetization   0.81 μB/atom


4.
Material: KLiMoO5
Method: DFT, GGA+U
State: relaxed

POSCAR file:
```
KLiMoO5
1.0
7.5760 -0.4630 0.4822
-0.2205 -9.4321 -5.5912
1.0696 6.3322 -10.7242
K Li Mo O
8 8 8 40
Direct
0.8074 0.7045 0.6271
0.1926 0.2955 0.3729
0.6926 0.2045 0.3729
0.1926 0.7955 0.1271
0.3074 0.7955 0.6271
0.8074 0.2045 0.8729
0.3074 0.2955 0.8729
0.6926 0.7045 0.1271
0.9952 0.9181 0.8273
0.0048 0.0819 0.1727
0.5048 0.4181 0.1727
0.0048 0.5819 0.3273
0.4952 0.5819 0.8273
0.9952 0.4181 0.6727
0.4952 0.0819 0.6727
0.5048 0.9181 0.3273
0.5607 0.8791 0.8766
0.4393 0.1209 0.1234
0.9393 0.3791 0.1234
0.4393 0.6209 0.3766
0.0607 0.6209 0.8766
0.5607 0.3791 0.6234
0.0607 0.1209 0.6234
0.9393 0.8791 0.3766
0.7761 0.9396 0.9054
0.2239 0.0604 0.0946
0.7239 0.4396 0.0946
0.2239 0.5604 0.4054
0.2761 0.5604 0.9054
0.7761 0.4396 0.5946
0.2761 0.0604 0.5946
0.7239 0.9396 0.4054
0.9620 0.6679 0.9980
0.0380 0.3321 0.0020
0.5380 0.1679 0.0020
0.0380 0.8321 0.4980
0.4620 0.8321 0.9980
0.9620 0.1679 0.5020
0.4620 0.3321 0.5020
0.5380 0.6679 0.4980
0.9255 0.5105 0.8049
0.0745 0.4895 0.1951
0.5745 0.0105 0.1951
0.0745 0.9895 0.3049
0.4255 0.9895 0.8049
0.9255 0.0105 0.6951
0.4255 0.4895 0.6951
0.5745 0.5105 0.3049
0.6655 0.9507 0.6109
0.3345 0.0493 0.3891
0.8345 0.4507 0.3891
0.3345 0.5493 0.1109
0.1655 0.5493 0.6109
0.6655 0.4507 0.8891
0.1655 0.0493 0.8891
0.8345 0.9507 0.1109
0.5793 0.7462 0.7921
0.4207 0.2538 0.2079
0.9207 0.2462 0.2079
0.4207 0.7538 0.2921
0.0793 0.7538 0.7921
0.5793 0.2462 0.7079
0.0793 0.2538 0.7079
0.9207 0.7462 0.2921
```

Results
E   -365.2 eV per cell
V   130.33 Å³/f.u.
SG   Pbca, No. 61